w) Entry from Materials Project: CaCoO2 after structural relaxation (GGA+U).

Cell lengths 3.245, 8.076, 8.321 Å; angles 97.86, 91.64, 91.64 degrees
Fractional coordinates of all 16 atoms:
Ca 0.278 0.726 0.939
Ca 0.685 0.244 0.081
Ca 0.709 0.933 0.315
Ca 0.266 0.036 0.705
Co 0.939 0.381 0.729
Co 0.685 0.703 0.596
Co 0.296 0.267 0.423
Co 0.069 0.588 0.287
O 0.553 0.445 0.312
O 0.798 0.180 0.546
O 0.183 0.789 0.472
O 0.452 0.525 0.712
O 0.173 0.262 0.895
O 0.764 0.872 0.798
O 0.790 0.705 0.126
O 0.208 0.098 0.222

Results
Space-group type: No. 1
Size of the total moment, μB per cell: 12.00

=====

x) Entry from Materials Project: CaCoO2 after structural relaxation (GGA+U).

Cell lengths 3.101, 8.332, 9.074 Å; angles 111.05, 99.37, 91.67 degrees
Fractional coordinates of all 16 atoms:
Ca 0.938 0.827 0.183
Ca 0.742 0.351 0.798
Ca 0.877 0.079 0.004
Ca 0.547 0.300 0.418
Co 0.884 0.462 0.123
Co 0.550 0.689 0.446
Co 0.123 0.035 0.618
Co 0.208 0.669 0.721
O 0.136 0.270 0.596
O 0.461 0.039 0.182
O 0.064 0.548 0.489
O 0.421 0.612 0.193
O 0.347 0.314 0.018
O 0.053 0.832 0.435
O 0.769 0.689 0.859
O 0.689 0.058 0.755

Results
Space-group type: No. 1
Size of the total moment, μB per cell: 12.00

=====

Most stable: w). Least stable: x).

=====

w) Entry from Materials Project: CaCoO2 after structural relaxation (GGA+U).

Cell lengths 3.245, 8.091, 8.583 Å; angles 84.11, 90.00, 90.00 degrees
Fractional coordinates of all 16 atoms:
Ca 0.250 0.710 0.951
Ca 0.750 0.290 0.049
Ca 0.250 0.907 0.286
Ca 0.750 0.093 0.714
Co 0.250 0.411 0.744
Co 0.750 0.737 0.638
Co 0.250 0.263 0.362
Co 0.750 0.589 0.256
O 0.250 0.459 0.184
O 0.250 0.269 0.579
O 0.750 0.731 0.421
O 0.750 0.541 0.816
O 0.250 0.201 0.896
O 0.250 0.867 0.707
O 0.750 0.799 0.104
O 0.750 0.133 0.293

Results
Space-group type: No. 11
Size of the total moment, μB per cell: 12.00

=====

x) Entry from Materials Project: CaCoO2 after structural relaxation (GGA+U).

Cell lengths 3.070, 8.028, 8.626 Å; angles 85.77, 88.83, 86.35 degrees
Fractional coordinates of all 16 atoms:
Ca 0.769 0.292 0.546
Ca 0.231 0.708 0.454
Ca 0.277 0.416 0.175
Ca 0.723 0.584 0.825
Co 0.161 0.942 0.700
Co 0.308 0.249 0.871
Co 0.692 0.751 0.129
Co 0.839 0.058 0.300
O 0.383 0.917 0.254
O 0.199 0.675 0.005
O 0.801 0.325 0.995
O 0.617 0.083 0.746
O 0.702 0.805 0.635
O 0.245 0.436 0.682
O 0.298 0.195 0.365
O 0.755 0.564 0.318

Results
Space-group type: No. 2
Size of the total moment, μB per cell: 8.00

=====

Most stable: w). Least stable: x).